DFT (PBE) results for crystalline LiAgO2 at its relaxed geometry.

Cell: 3.315 3.315 9.599 Å, 90.00 90.00 120.00°
Atoms (fractional coordinates):
Li 0.333 0.667 0.250
Li 0.667 0.333 0.750
Ag 0.000 0.000 0.000
Ag 0.000 0.000 0.500
O 0.333 0.667 0.667
O 0.333 0.667 0.833
O 0.667 0.333 0.167
O 0.667 0.333 0.333

Total magnetic moment = 0.0 μB per formula unit
Calculated density = 5.337 g cm⁻³
Uncorrected energy = -34.060 eV for the cell shown